1.
Entry from Materials Project: an optimized crystal structure of RbAgF3 (PBE). Values from VASP.

Cell and atoms, written as Quantum ESPRESSO input:
```
&SYSTEM
  ibrav = 0, nat = 10, ntyp = 3
/
ATOMIC_SPECIES
Ag 107.87 Ag.upf
Rb 85.47 Rb.upf
F 19.00 F.upf
CELL_PARAMETERS angstrom
0.396 -6.235 0.369
5.126 0.641 3.533
-5.298 2.853 1.719
ATOMIC_POSITIONS angstrom
Ag -2.451 -1.691 1.044
Ag -0.086 1.747 2.626
Rb 4.141 -4.196 2.927
Rb 1.380 -1.399 0.976
F 3.906 -1.077 2.796
F 1.294 0.349 3.602
F -1.071 -3.089 2.020
F -3.683 -1.663 2.826
F 1.457 -2.819 3.763
F -1.234 0.079 1.859
```

Results
Calculated total energy = -3.764 eV per atom
Total energy after the MP2020 corrections = -0.29705 Ry/atom
ΔH_f (0 K) = -2130 meV/atom


2.
Entry from Materials Project: an optimized crystal structure of LiTiPt2 (PBE). Values from VASP.

Cell and atoms, written as Quantum ESPRESSO input:
```
&SYSTEM
  ibrav = 0, nat = 4, ntyp = 3
/
ATOMIC_SPECIES
Pt 195.08 Pt.upf
Li 6.94 Li.upf
Ti 47.87 Ti.upf
CELL_PARAMETERS angstrom
-1.949 -1.573 3.570
0.335 2.136 3.787
-3.474 2.041 1.666
ATOMIC_POSITIONS angstrom
Pt -3.816 1.953 6.767
Pt -1.272 0.651 2.256
Li -2.544 1.302 4.511
Ti 0.000 0.000 0.000
```

Results
Calculated total energy = -6.312 eV per atom
ΔH_f (0 K) = -826 meV/atom


3.
Entry from Materials Project: an optimized crystal structure of InC (PBE). Values from VASP.

Cell and atoms, written as Quantum ESPRESSO input:
```
&SYSTEM
  ibrav = 0, nat = 4, ntyp = 2
/
ATOMIC_SPECIES
C 12.01 C.upf
In 114.82 In.upf
CELL_PARAMETERS angstrom
1.818 -3.148 0.000
1.818 3.148 0.000
0.000 0.000 6.061
ATOMIC_POSITIONS angstrom
C 1.818 -1.049 3.053
C 1.818 1.049 0.022
In 1.818 1.049 2.251
In 1.818 -1.049 5.282
```

Results
Calculated total energy = -4.534 eV per atom
ΔH_f (0 K) = 1456 meV/atom


4.
Entry from Materials Project: an optimized crystal structure of Tm3Al5O12 (PBE). Values from VASP.

Cell and atoms, written as Quantum ESPRESSO input:
```
&SYSTEM
  ibrav = 0, nat = 80, ntyp = 3
/
ATOMIC_SPECIES
Tm 168.93 Tm.upf
O 16.00 O.upf
Al 26.98 Al.upf
CELL_PARAMETERS angstrom
-2.705 1.159 9.986
6.852 7.387 -2.619
-8.463 0.830 -6.006
ATOMIC_POSITIONS angstrom
Tm -2.517 7.073 3.019
Tm 3.067 6.079 1.030
Tm -7.382 3.297 0.331
Tm -2.273 1.565 1.916
Tm -2.042 7.810 -0.555
Tm 0.030 7.272 -3.549
Tm -5.151 6.212 0.597
Tm -0.200 5.838 5.599
Tm -4.115 3.537 -4.239
Tm 0.836 3.164 0.764
Tm -4.346 2.104 4.910
Tm -1.799 2.303 -1.659
O -4.024 2.180 -2.233
O 1.397 7.656 1.162
O -3.103 5.769 -0.620
O 2.402 6.928 -3.907
O -0.312 4.061 7.242
O 0.113 6.964 -1.270
O 0.086 1.140 1.564
O -2.262 7.212 -2.767
O -3.023 3.040 0.145
O -4.680 5.485 -3.151
O 0.687 7.896 -5.665
O 0.365 3.890 4.511
O -3.156 3.534 6.462
O -4.003 5.315 -5.881
O -5.603 4.260 -0.766
O -4.620 7.760 2.384
O 0.445 5.041 -3.164
O -0.751 4.187 -0.553
O -6.380 3.478 -3.378
O -6.239 4.697 1.945
O 0.304 1.616 -1.024
O -4.428 2.411 2.630
O -9.440 2.318 0.656
O -2.053 2.164 4.127
O 5.124 7.058 0.705
O -1.877 0.474 -0.071
O -5.712 1.719 0.198
O -2.439 8.902 1.432
O 2.901 7.404 -0.992
O -1.212 3.607 1.980
O -5.002 1.480 7.026
O 1.185 6.230 7.395
O 3.660 7.576 2.839
O -7.216 1.972 2.353
O -7.976 1.799 -1.479
O -2.046 5.147 4.411
O 1.287 5.115 2.126
O -1.159 5.842 -5.102
O -3.565 5.189 1.914
O -6.717 2.448 5.268
O -2.270 4.229 -3.051
O -4.401 8.236 -0.203
O 2.064 5.897 4.739
O -0.291 7.195 3.594
O 1.924 4.679 -0.584
O -1.292 6.336 1.215
O -4.760 4.335 4.525
O -5.500 3.146 -6.035
Al -1.352 0.580 4.993
Al 0.000 0.000 0.000
Al 3.426 3.693 -1.310
Al -1.237 3.702 3.757
Al -5.584 0.994 1.990
Al 2.074 4.273 3.683
Al -7.224 1.939 -3.086
Al -2.158 4.688 0.680
Al 0.433 5.218 -1.393
Al 3.542 6.816 -2.545
Al -4.590 2.800 -0.664
Al -4.231 0.415 -3.003
Al -4.748 4.158 2.753
Al -7.857 2.560 3.906
Al -0.805 4.108 -4.313
Al -3.079 5.674 -2.397
Al 0.275 6.576 2.024
Al 2.909 7.437 4.447
Al -1.712 2.965 7.332
Al -2.604 6.411 -5.972
```

Results
Calculated total energy = -7.887 eV per atom
Total energy after the MP2020 corrections = -0.60995 Ry/atom
ΔH_f (0 K) = -3722 meV/atom


5.
Entry from Materials Project: an optimized crystal structure of Na8Be3Si9Cl2O24 (PBE). Values from VASP.

Cell and atoms, written as Quantum ESPRESSO input:
```
&SYSTEM
  ibrav = 0, nat = 46, ntyp = 5
/
ATOMIC_SPECIES
Na 22.99 Na.upf
Si 28.09 Si.upf
O 16.00 O.upf
Be 9.01 Be.upf
Cl 35.45 Cl.upf
CELL_PARAMETERS angstrom
7.615 0.000 0.000
-2.550 7.176 0.000
-0.028 -0.028 12.420
ATOMIC_POSITIONS angstrom
Na 3.633 1.110 5.954
Na -0.303 3.436 6.248
Na -1.459 4.545 0.028
Na 0.642 1.379 10.180
Na 2.363 6.952 0.129
Na 3.562 4.736 8.442
Na 0.804 1.400 2.305
Na 3.336 5.003 3.911
Si 1.268 7.145 9.331
Si 3.737 2.752 1.607
Si 3.875 2.690 10.906
Si 6.306 0.909 7.696
Si -1.309 6.234 7.785
Si -1.250 3.544 3.165
Si 1.272 7.140 3.049
Si -1.333 6.336 4.621
Si 1.210 4.385 10.873
O 2.779 7.155 8.717
O 5.858 0.599 6.198
O 5.285 0.064 3.689
O 0.269 3.614 9.838
O 3.350 1.397 9.986
O 5.349 3.184 10.573
O 1.151 6.096 1.844
O 0.799 4.246 12.404
O 3.271 1.454 2.510
O 3.777 2.178 0.038
O 2.789 3.890 10.587
O 0.213 6.828 8.119
O 5.292 3.190 1.922
O 0.228 0.375 4.359
O 0.219 6.786 4.302
O 0.230 0.335 8.040
O 0.196 3.633 2.484
O 1.277 6.036 10.523
O 6.255 2.504 4.383
O 6.268 2.449 8.119
O -1.259 5.803 6.198
O 2.760 3.980 1.855
O -1.791 5.027 3.736
O -1.758 5.002 8.682
Be 6.314 0.892 4.642
Be 1.223 4.490 1.560
Be -1.267 3.562 9.304
Cl 2.503 3.577 6.224
Cl -2.567 7.126 12.390
```

Results
Calculated total energy = -6.725 eV per atom
Total energy after the MP2020 corrections = -0.52062 Ry/atom
ΔH_f (0 K) = -2886 meV/atom